Run one
Entry from the Materials Project: a relaxed structure of Tb2MgSe4 (GGA-PBE).

* theoretical density: 5.68 Mg/m³
* size of the total moment: 0.0 Bohr magnetons per cell

Unit cell a=8.173 b=7.761 c=12.130 alpha=90.00 beta=90.00 gamma=90.00
Atoms (fractional coordinates):
Tb 0.056 0.250 0.022
Tb 0.058 0.750 0.312
Tb 0.442 0.250 0.812
Tb 0.444 0.750 0.522
Tb 0.556 0.250 0.478
Tb 0.558 0.750 0.188
Tb 0.942 0.250 0.688
Tb 0.944 0.750 0.978
Mg 0.176 0.250 0.405
Mg 0.324 0.750 0.905
Mg 0.676 0.250 0.095
Mg 0.824 0.750 0.595
Se 0.115 0.750 0.544
Se 0.128 0.502 0.842
Se 0.128 0.998 0.842
Se 0.232 0.750 0.112
Se 0.268 0.250 0.612
Se 0.372 0.002 0.342
Se 0.372 0.498 0.342
Se 0.385 0.250 0.044
Se 0.615 0.750 0.956
Se 0.628 0.502 0.658
Se 0.628 0.998 0.658
Se 0.732 0.750 0.388
Se 0.768 0.250 0.888
Se 0.872 0.002 0.158
Se 0.872 0.498 0.158
Se 0.885 0.250 0.456

***

Run two
Entry from the Materials Project: a relaxed structure of Tb2MgSe4 (GGA-PBE).

* theoretical density: 6.59 Mg/m³
* size of the total moment: 0.0 Bohr magnetons per cell

Unit cell a=7.554 b=7.554 c=7.554 alpha=110.58 beta=110.58 gamma=107.27
Atoms (fractional coordinates):
Tb 0.007 0.625 0.882
Tb 0.375 0.257 0.382
Tb 0.743 0.125 0.118
Tb 0.875 0.993 0.618
Mg 0.250 0.750 0.500
Mg 0.500 0.500 0.000
Se 0.007 0.878 0.263
Se 0.122 0.385 0.129
Se 0.135 0.372 0.629
Se 0.256 0.993 0.871
Se 0.494 0.865 0.237
Se 0.615 0.744 0.737
Se 0.628 0.257 0.763
Se 0.743 0.506 0.371

***

The data favor run two; the next most stable structure lies 144 meV per atom above it.

***

Run one
Entry from the Materials Project: a relaxed structure of Tb2MgSe4 (GGA-PBE).

* theoretical density: 4.92 Mg/m³
* size of the total moment: 0.0 Bohr magnetons per cell

Unit cell a=7.504 b=8.700 c=13.861 alpha=80.79 beta=84.54 gamma=89.98
Atoms (fractional coordinates):
Tb 0.132 0.444 0.200
Tb 0.132 0.956 0.197
Tb 0.259 0.127 0.499
Tb 0.364 0.300 0.801
Tb 0.636 0.700 0.199
Tb 0.741 0.873 0.501
Tb 0.868 0.044 0.803
Tb 0.868 0.556 0.800
Mg 0.251 0.623 0.503
Mg 0.367 0.801 0.797
Mg 0.633 0.199 0.203
Mg 0.749 0.377 0.497
Se 0.095 0.407 0.399
Se 0.106 0.895 0.396
Se 0.194 0.543 0.873
Se 0.196 0.020 0.874
Se 0.310 0.719 0.122
Se 0.330 0.219 0.125
Se 0.392 0.843 0.609
Se 0.406 0.356 0.602
Se 0.594 0.644 0.398
Se 0.608 0.157 0.391
Se 0.670 0.781 0.875
Se 0.690 0.281 0.878
Se 0.804 0.980 0.126
Se 0.806 0.457 0.127
Se 0.894 0.105 0.604
Se 0.905 0.593 0.601

***

Run two
Entry from the Materials Project: a relaxed structure of Tb2MgSe4 (GGA-PBE).

* theoretical density: 5.76 Mg/m³
* size of the total moment: 0.0 Bohr magnetons per cell

Unit cell a=13.197 b=4.034 c=14.253 alpha=90.00 beta=90.00 gamma=90.00
Atoms (fractional coordinates):
Tb 0.117 0.250 0.073
Tb 0.140 0.250 0.703
Tb 0.360 0.750 0.203
Tb 0.383 0.750 0.573
Tb 0.617 0.250 0.427
Tb 0.640 0.250 0.797
Tb 0.860 0.750 0.297
Tb 0.883 0.750 0.927
Mg 0.109 0.750 0.456
Mg 0.391 0.250 0.956
Mg 0.609 0.750 0.044
Mg 0.891 0.250 0.544
Se 0.006 0.750 0.617
Se 0.028 0.250 0.882
Se 0.223 0.250 0.246
Se 0.237 0.250 0.514
Se 0.263 0.750 0.014
Se 0.277 0.750 0.746
Se 0.472 0.750 0.382
Se 0.494 0.250 0.117
Se 0.506 0.750 0.883
Se 0.528 0.250 0.618
Se 0.723 0.250 0.254
Se 0.737 0.250 0.986
Se 0.763 0.750 0.486
Se 0.777 0.750 0.754
Se 0.972 0.750 0.118
Se 0.994 0.250 0.383

***

The data favor run two; the next most stable structure lies 131 meV per atom above it.

***

Run one
Entry from the Materials Project: a relaxed structure of TmMgSe3 (GGA-PBE).

* theoretical density: 5.01 Mg/m³
* size of the total moment: 0.0 Bohr magnetons per cell

Unit cell a=7.343 b=7.343 c=6.919 alpha=103.53 beta=103.53 gamma=120.13
Atoms (fractional coordinates):
Tm 0.196 0.196 0.318
Tm 0.804 0.804 0.682
Mg 0.336 0.664 0.000
Mg 0.664 0.336 0.000
Se 0.123 0.780 0.216
Se 0.220 0.877 0.784
Se 0.468 0.468 0.745
Se 0.532 0.532 0.255
Se 0.780 0.123 0.216
Se 0.877 0.220 0.784

***

Run two
Entry from the Materials Project: a relaxed structure of TmMgSe3 (GGA-PBE).

* theoretical density: 5.48 Mg/m³
* size of the total moment: 1.3 Bohr magnetons per cell

Unit cell a=6.870 b=6.870 c=19.131 alpha=90.00 beta=90.00 gamma=120.00
Atoms (fractional coordinates):
Se 0.685 0.030 0.083
Se 0.696 0.678 0.250
Se 0.304 0.322 0.750
Se 0.351 0.363 0.416
Se 0.649 0.637 0.584
Se 0.637 0.989 0.416
Se 0.655 0.685 0.917
Se 0.363 0.011 0.584
Se 0.011 0.649 0.416
Se 0.970 0.655 0.083
Se 0.989 0.351 0.584
Se 0.315 0.970 0.917
Se 0.322 0.018 0.250
Se 0.018 0.696 0.750
Se 0.030 0.345 0.917
Se 0.982 0.304 0.250
Se 0.345 0.315 0.083
Se 0.678 0.982 0.750
Tm 0.667 0.333 0.680
Tm 0.000 0.000 0.346
Tm 0.000 0.000 0.654
Tm 0.667 0.333 0.987
Tm 0.333 0.667 0.013
Tm 0.333 0.667 0.320
Mg 0.333 0.667 0.507
Mg 0.000 0.000 0.841
Mg 0.000 0.000 0.159
Mg 0.667 0.333 0.493
Mg 0.333 0.667 0.826
Mg 0.667 0.333 0.174

***

The data favor run two; the next most stable structure lies 119 meV per atom above it.